Material: Te6MoW3S2
Method: DFT, GGA-PBE
State: optimized geometry

Calculated values
E_tot: -6.65 eV per atom
Energy above the most stable polymorph in this dataset: 1 meV per atom
Space-group type: P3m1 (156)
Energy of formation from the pure elements: -4.006 eV/f.u.

a b c (Å): 3.4516 3.4516 39.4135
angles (deg): 90.00 90.00 120.00
Sites, in units of the cell vectors:
Te (0.0000, 0.0000, 0.3290)
Te (0.0000, 0.0000, 0.7048)
Te (0.3333, 0.6667, 0.4227)
Te (0.3333, 0.6667, 0.5166)
Te (0.0000, 0.0000, 0.2345)
Te (0.0000, 0.0000, 0.6103)
Mo (0.0000, 0.0000, 0.4697)
W (0.0000, 0.0000, 0.0939)
W (0.3333, 0.6667, 0.2818)
W (0.3333, 0.6667, 0.6576)
S (0.3333, 0.6667, 0.0560)
S (0.3333, 0.6667, 0.1318)